{"formula": "K2Ag4Se3", "functional": "meta-GGA r2SCAN", "state": "optimized geometry", "magnetic_moment_mub_per_cell": 0.00, "vol_a3_per_cell": 452.0, "final_energy_ev_per_atom": -16.226, "e_form_ev_per_fu": -5.638, "cell": [[9.027, -2.218, 0.000], [9.027, 2.218, 0.000], [-3.747, 0.000, 11.290]], "species": ["K", "K", "K", "K", "Ag", "Ag", "Ag", "Ag", "Ag", "Ag", "Ag", "Ag", "Se", "Se", "Se", "Se", "Se", "Se"], "fractional_positions": [[0.164, 0.164, 0.339], [0.314, 0.314, 0.157], [0.686, 0.686, 0.843], [0.836, 0.836, 0.661], [0.084, 0.084, 0.580], [0.088, 0.088, 0.017], [0.481, 0.481, 0.871], [0.491, 0.491, 0.622], [0.509, 0.509, 0.378], [0.519, 0.519, 0.129], [0.912, 0.912, 0.983], [0.916, 0.916, 0.420], [0.034, 0.034, 0.777], [0.338, 0.338, 0.884], [0.354, 0.354, 0.459], [0.646, 0.646, 0.541], [0.662, 0.662, 0.116], [0.966, 0.966, 0.223]]}

{"formula": "LiLu2Re", "functional": "meta-GGA r2SCAN", "state": "optimized geometry", "magnetic_moment_mub_per_cell": 0.00, "vol_a3_per_cell": 78.5, "final_energy_ev_per_atom": -32.738, "e_form_ev_per_fu": 0.006, "cell": [[0.000, 3.399, 3.399], [3.399, 0.000, 3.399], [3.399, 3.399, 0.000]], "species": ["Li", "Lu", "Lu", "Re"], "fractional_positions": [[0.000, 0.000, 0.000], [0.250, 0.250, 0.250], [0.750, 0.750, 0.750], [0.500, 0.500, 0.500]]}

{"formula": "TiTl2O3", "functional": "meta-GGA r2SCAN", "state": "optimized geometry", "magnetic_moment_mub_per_cell": 0.00, "vol_a3_per_cell": 468.0, "final_energy_ev_per_atom": -24.942, "e_form_ev_per_fu": -12.439, "cell": [[12.570, 0.000, 0.000], [0.000, 3.822, 0.000], [0.000, 0.000, 9.742]], "species": ["Ti", "Ti", "Ti", "Ti", "Tl", "Tl", "Tl", "Tl", "Tl", "Tl", "Tl", "Tl", "O", "O", "O", "O", "O", "O", "O", "O", "O", "O", "O", "O"], "fractional_positions": [[0.097, 0.250, 0.031], [0.403, 0.750, 0.531], [0.597, 0.250, 0.469], [0.903, 0.750, 0.969], [0.103, 0.750, 0.358], [0.154, 0.750, 0.734], [0.346, 0.250, 0.234], [0.397, 0.250, 0.858], [0.603, 0.750, 0.142], [0.654, 0.750, 0.766], [0.846, 0.250, 0.266], [0.897, 0.250, 0.642], [0.058, 0.750, 0.028], [0.154, 0.250, 0.203], [0.198, 0.250, 0.901], [0.302, 0.750, 0.401], [0.346, 0.750, 0.703], [0.442, 0.250, 0.528], [0.558, 0.750, 0.472], [0.654, 0.250, 0.297], [0.698, 0.250, 0.599], [0.802, 0.750, 0.099], [0.846, 0.750, 0.797], [0.942, 0.250, 0.972]]}

{"formula": "SiO2", "functional": "meta-GGA r2SCAN", "state": "optimized geometry", "magnetic_moment_mub_per_cell": 0.00, "vol_a3_per_cell": 338.8, "final_energy_ev_per_atom": -9.937, "e_form_ev_per_fu": -9.092, "cell": [[8.523, 0.000, 0.000], [0.000, 4.894, 0.000], [-5.430, 0.000, 8.123]], "species": ["Si", "Si", "Si", "Si", "Si", "Si", "Si", "Si", "O", "O", "O", "O", "O", "O", "O", "O", "O", "O", "O", "O", "O", "O", "O", "O"], "fractional_positions": [[0.124, 0.092, 0.290], [0.124, 0.408, 0.790], [0.373, 0.236, 0.665], [0.373, 0.264, 0.165], [0.627, 0.736, 0.835], [0.627, 0.764, 0.335], [0.876, 0.592, 0.210], [0.876, 0.908, 0.710], [0.058, 0.723, 0.763], [0.058, 0.777, 0.263], [0.201, 0.162, 0.176], [0.201, 0.338, 0.676], [0.292, 0.142, 0.479], [0.292, 0.358, 0.979], [0.478, 0.519, 0.288], [0.478, 0.981, 0.788], [0.522, 0.019, 0.212], [0.522, 0.481, 0.712], [0.708, 0.642, 0.021], [0.708, 0.858, 0.521], [0.799, 0.662, 0.324], [0.799, 0.838, 0.824], [0.942, 0.223, 0.737], [0.942, 0.277, 0.237]]}

{"formula": "Al3Pt5", "functional": "meta-GGA r2SCAN", "state": "optimized geometry", "magnetic_moment_mub_per_cell": 0.00, "vol_a3_per_cell": 232.7, "final_energy_ev_per_atom": -35.684, "e_form_ev_per_fu": -7.834, "cell": [[5.429, 0.000, 0.000], [0.000, 10.792, 0.000], [0.000, 0.000, 3.971]], "species": ["Al", "Al", "Al", "Al", "Al", "Al", "Pt", "Pt", "Pt", "Pt", "Pt", "Pt", "Pt", "Pt", "Pt", "Pt"], "fractional_positions": [[0.000, 0.000, 0.000], [0.184, 0.361, 0.500], [0.316, 0.861, 0.500], [0.500, 0.500, 0.000], [0.684, 0.139, 0.500], [0.816, 0.639, 0.500], [0.000, 0.500, 0.000], [0.069, 0.769, 0.000], [0.208, 0.107, 0.500], [0.292, 0.607, 0.500], [0.431, 0.269, 0.000], [0.500, 0.000, 0.000], [0.569, 0.731, 0.000], [0.708, 0.393, 0.500], [0.792, 0.893, 0.500], [0.931, 0.231, 0.000]]}

{"formula": "K3Mn2Cl7", "functional": "meta-GGA r2SCAN", "state": "optimized geometry", "magnetic_moment_mub_per_cell": 10.00, "vol_a3_per_cell": 320.1, "final_energy_ev_per_atom": -9.432, "e_form_ev_per_fu": -22.692, "cell": [[-2.505, 2.505, 12.753], [2.505, -2.505, 12.753], [2.505, 2.505, -12.753]], "species": ["K", "K", "K", "Mn", "Mn", "Cl", "Cl", "Cl", "Cl", "Cl", "Cl", "Cl"], "fractional_positions": [[0.000, 0.000, 0.000], [0.181, 0.181, 0.000], [0.819, 0.819, 0.000], [0.400, 0.400, 0.000], [0.600, 0.600, 0.000], [0.097, 0.597, 0.500], [0.303, 0.303, 0.000], [0.403, 0.903, 0.500], [0.500, 0.500, 0.000], [0.597, 0.097, 0.500], [0.697, 0.697, 0.000], [0.903, 0.403, 0.500]]}

{"formula": "CeAlGe", "functional": "meta-GGA r2SCAN", "state": "optimized geometry", "magnetic_moment_mub_per_cell": 2.10, "vol_a3_per_cell": 135.5, "final_energy_ev_per_atom": -17.895, "e_form_ev_per_fu": -2.239, "cell": [[-2.135, 2.135, 7.433], [2.135, -2.135, 7.433], [2.135, 2.135, -7.433]], "species": ["Ce", "Ce", "Al", "Al", "Ge", "Ge"], "fractional_positions": [[0.000, 0.000, 0.000], [0.750, 0.250, 0.500], [0.334, 0.834, 0.500], [0.584, 0.584, 0.000], [0.168, 0.668, 0.500], [0.418, 0.418, 0.000]]}

{"formula": "GdWBrO4", "functional": "meta-GGA r2SCAN", "state": "optimized geometry", "magnetic_moment_mub_per_cell": 28.00, "vol_a3_per_cell": 512.9, "final_energy_ev_per_atom": -21.539, "e_form_ev_per_fu": -18.856, "cell": [[6.950, 0.000, 0.000], [-0.391, 7.300, 0.000], [-3.379, -3.090, 10.108]], "species": ["Gd", "Gd", "Gd", "Gd", "W", "W", "W", "W", "Br", "Br", "Br", "Br", "O", "O", "O", "O", "O", "O", "O", "O", "O", "O", "O", "O", "O", "O", "O", "O"], "fractional_positions": [[0.113, 0.347, 0.232], [0.148, 0.120, 0.731], [0.852, 0.880, 0.269], [0.887, 0.653, 0.768], [0.233, 0.814, 0.133], [0.270, 0.591, 0.628], [0.730, 0.409, 0.372], [0.767, 0.186, 0.867], [0.241, 0.004, 0.482], [0.309, 0.285, 0.020], [0.691, 0.715, 0.980], [0.759, 0.996, 0.518], [0.106, 0.018, 0.181], [0.128, 0.648, 0.200], [0.158, 0.792, 0.701], [0.166, 0.730, 0.959], [0.167, 0.505, 0.452], [0.214, 0.414, 0.701], [0.462, 0.354, 0.328], [0.499, 0.131, 0.794], [0.501, 0.869, 0.206], [0.538, 0.646, 0.672], [0.786, 0.586, 0.299], [0.833, 0.495, 0.548], [0.834, 0.270, 0.041], [0.842, 0.208, 0.299], [0.872, 0.352, 0.800], [0.894, 0.982, 0.819]]}